Entry 1:
# La3IrI3

A relaxed La3IrI3 crystal (PBE-GGA, Materials Project).

Cell lengths 11.002, 11.002, 11.002 Å; angles 109.47, 109.47, 109.47 degrees
Atoms (fractional coordinates):
La (0.456, 0.478, 0.228)
La (0.750, 0.228, 0.272)
La (0.750, 0.022, 0.478)
La (0.228, 0.456, 0.478)
La (0.272, 0.750, 0.228)
La (0.044, 0.272, 0.022)
La (0.022, 0.044, 0.272)
La (0.478, 0.750, 0.022)
La (0.478, 0.228, 0.456)
La (0.022, 0.478, 0.750)
La (0.272, 0.022, 0.044)
La (0.228, 0.272, 0.750)
Ir (0.250, 0.250, 0.250)
Ir (0.500, 0.000, 0.250)
Ir (0.000, 0.250, 0.500)
Ir (0.250, 0.500, 0.000)
I (0.250, 0.760, 0.740)
I (0.519, 0.510, 0.760)
I (0.981, 0.740, 0.990)
I (0.740, 0.250, 0.760)
I (0.990, 0.981, 0.740)
I (0.250, 0.990, 0.510)
I (0.760, 0.519, 0.510)
I (0.510, 0.250, 0.990)
I (0.760, 0.740, 0.250)
I (0.740, 0.990, 0.981)
I (0.990, 0.510, 0.250)
I (0.510, 0.760, 0.519)

## Properties
* ΔE_f: -1.4327 eV/atom

=====

Entry 2:
# Co3H

A relaxed Co3H crystal (PBE-GGA, Materials Project).

Cell lengths 2.545, 2.545, 12.286 Å; angles 90.00, 90.00, 120.00 degrees
Atoms (fractional coordinates):
Co (0.333, 0.667, 0.089)
Co (0.667, 0.333, 0.589)
Co (0.333, 0.667, 0.411)
Co (0.667, 0.333, 0.911)
Co (0.333, 0.667, 0.750)
Co (0.667, 0.333, 0.250)
H (0.000, 0.000, 0.000)
H (0.000, 0.000, 0.500)

## Properties
* total magnetization: 1.228 μB/atom
* ΔE_f: -0.0412 eV/atom

=====

Entry 3:
# HfZrW4

A relaxed HfZrW4 crystal (PBE-GGA, Materials Project).

Cell lengths 5.411, 5.411, 5.411 Å; angles 60.00, 60.00, 60.00 degrees
Atoms (fractional coordinates):
Hf (0.250, 0.250, 0.250)
Zr (0.000, 0.000, 0.000)
W (0.625, 0.625, 0.125)
W (0.625, 0.125, 0.625)
W (0.125, 0.625, 0.625)
W (0.625, 0.625, 0.625)

## Properties
* ΔE_f: -0.1589 eV/atom

=====

Entry 4:
# Cr2CdN2

A relaxed Cr2CdN2 crystal (PBE-GGA, Materials Project).

Cell lengths 7.532, 7.532, 7.532 Å; angles 90.00, 90.00, 90.00 degrees
Atoms (fractional coordinates):
Cr (0.207, 0.207, 0.793)
Cr (0.207, 0.793, 0.207)
Cr (0.793, 0.207, 0.207)
Cr (0.793, 0.793, 0.793)
Cd (0.000, 0.000, 0.000)
Cd (0.500, 0.500, 0.500)
N (0.330, 0.330, 0.670)
N (0.330, 0.670, 0.330)
N (0.670, 0.330, 0.330)
N (0.670, 0.670, 0.670)

## Properties
* total magnetization: 1.107 μB/atom
* ΔE_f: 1.4747 eV/atom

=====

Entry 5:
# Ti7S12

A relaxed Ti7S12 crystal (PBE-GGA, Materials Project).

Cell lengths 6.862, 8.998, 11.837 Å; angles 99.39, 89.99, 101.07 degrees
Atoms (fractional coordinates):
Ti (0.167, 0.670, 0.497)
Ti (0.179, 0.721, 0.765)
Ti (0.247, 0.003, 0.998)
Ti (0.500, 0.000, 0.500)
Ti (0.579, 0.333, 0.998)
Ti (0.330, 0.321, 0.501)
Ti (0.833, 0.330, 0.503)
Ti (0.920, 0.663, 0.999)
Ti (0.421, 0.667, 0.002)
Ti (0.670, 0.679, 0.499)
Ti (0.753, 0.997, 0.002)
Ti (0.000, 0.000, 0.500)
Ti (0.080, 0.337, 0.001)
Ti (0.821, 0.279, 0.235)
S (0.201, 0.803, 0.117)
S (0.229, 0.915, 0.627)
S (0.531, 0.136, 0.126)
S (0.271, 0.083, 0.378)
S (0.562, 0.249, 0.622)
S (0.300, 0.196, 0.878)
S (0.369, 0.472, 0.122)
S (0.869, 0.480, 0.129)
S (0.608, 0.417, 0.377)
S (0.392, 0.583, 0.623)
S (0.898, 0.585, 0.627)
S (0.631, 0.528, 0.878)
S (0.700, 0.804, 0.122)
S (0.938, 0.751, 0.377)
S (0.438, 0.751, 0.378)
S (0.729, 0.917, 0.622)
S (0.961, 0.864, 0.872)
S (0.469, 0.864, 0.874)
S (0.039, 0.136, 0.128)
S (0.771, 0.085, 0.373)
S (0.062, 0.249, 0.623)
S (0.799, 0.197, 0.883)
S (0.102, 0.415, 0.373)
S (0.131, 0.520, 0.871)

## Properties
* ΔE_f: -1.6729 eV/atom

=====

Entry 6:
# K29NaHg48

A relaxed K29NaHg48 crystal (PBE-GGA, Materials Project).

Cell lengths 17.406, 17.406, 17.406 Å; angles 90.00, 90.00, 90.00 degrees
Atoms (fractional coordinates):
K (0.500, 0.000, 0.500)
K (0.295, 0.868, 0.000)
K (0.868, 0.000, 0.705)
K (0.687, 0.313, 0.687)
K (0.205, 0.500, 0.368)
K (0.187, 0.813, 0.187)
K (0.187, 0.813, 0.813)
K (0.313, 0.313, 0.687)
K (0.795, 0.500, 0.632)
K (0.000, 0.705, 0.132)
K (0.500, 0.500, 0.000)
K (0.705, 0.132, 0.000)
K (0.000, 0.295, 0.868)
K (0.313, 0.687, 0.687)
K (0.000, 0.750, 0.500)
K (0.868, 0.000, 0.295)
K (0.632, 0.205, 0.500)
K (0.250, 0.000, 0.500)
K (0.000, 0.500, 0.750)
K (0.813, 0.187, 0.813)
K (0.000, 0.500, 0.500)
K (0.813, 0.187, 0.187)
K (0.500, 0.750, 0.000)
K (0.187, 0.187, 0.813)
K (0.132, 0.000, 0.295)
K (0.687, 0.687, 0.313)
K (0.500, 0.000, 0.250)
K (0.500, 0.632, 0.795)
K (0.250, 0.500, 0.000)
K (0.500, 0.000, 0.750)
K (0.313, 0.687, 0.313)
K (0.632, 0.795, 0.500)
K (0.500, 0.368, 0.795)
K (0.295, 0.132, 0.000)
K (0.500, 0.368, 0.205)
K (0.500, 0.250, 0.000)
K (0.132, 0.000, 0.705)
K (0.705, 0.868, 0.000)
K (0.000, 0.250, 0.500)
K (0.000, 0.295, 0.132)
K (0.187, 0.187, 0.187)
K (0.500, 0.000, 0.000)
K (0.000, 0.500, 0.250)
K (0.000, 0.705, 0.868)
K (0.500, 0.632, 0.205)
K (0.687, 0.687, 0.687)
K (0.813, 0.813, 0.813)
K (0.687, 0.313, 0.313)
K (0.795, 0.500, 0.368)
K (0.750, 0.000, 0.500)
K (0.813, 0.813, 0.187)
K (0.000, 0.000, 0.500)
K (0.313, 0.313, 0.313)
K (0.000, 0.500, 0.000)
K (0.205, 0.500, 0.632)
K (0.750, 0.500, 0.000)
K (0.368, 0.795, 0.500)
K (0.368, 0.205, 0.500)
Na (0.000, 0.000, 0.000)
Na (0.500, 0.500, 0.500)
Hg (0.000, 0.092, 0.842)
Hg (0.404, 0.173, 0.829)
Hg (0.904, 0.671, 0.673)
Hg (0.904, 0.329, 0.327)
Hg (0.673, 0.096, 0.671)
Hg (0.500, 0.342, 0.408)
Hg (0.500, 0.342, 0.592)
Hg (0.827, 0.829, 0.596)
Hg (0.327, 0.904, 0.671)
Hg (0.329, 0.673, 0.904)
Hg (0.342, 0.408, 0.500)
Hg (0.596, 0.827, 0.829)
Hg (0.658, 0.592, 0.500)
Hg (0.829, 0.596, 0.173)
Hg (0.000, 0.908, 0.842)
Hg (0.500, 0.815, 0.664)
Hg (0.815, 0.664, 0.500)
Hg (0.596, 0.827, 0.171)
Hg (0.096, 0.671, 0.327)
Hg (0.596, 0.173, 0.171)
Hg (0.000, 0.092, 0.158)
Hg (0.671, 0.327, 0.904)
Hg (0.596, 0.173, 0.829)
Hg (0.096, 0.671, 0.673)
Hg (0.000, 0.164, 0.685)
Hg (0.829, 0.596, 0.827)
Hg (0.327, 0.096, 0.671)
Hg (0.408, 0.500, 0.658)
Hg (0.904, 0.329, 0.673)
Hg (0.171, 0.596, 0.173)
Hg (0.404, 0.827, 0.829)
Hg (0.592, 0.500, 0.342)
Hg (0.096, 0.329, 0.673)
Hg (0.685, 0.000, 0.164)
Hg (0.173, 0.829, 0.596)
Hg (0.171, 0.596, 0.827)
Hg (0.315, 0.000, 0.164)
Hg (0.185, 0.336, 0.500)
Hg (0.404, 0.827, 0.171)
Hg (0.671, 0.673, 0.904)
Hg (0.664, 0.500, 0.815)
Hg (0.329, 0.327, 0.904)
Hg (0.185, 0.664, 0.500)
Hg (0.658, 0.408, 0.500)
Hg (0.671, 0.327, 0.096)
Hg (0.904, 0.671, 0.327)
Hg (0.671, 0.673, 0.096)
Hg (0.673, 0.904, 0.671)
Hg (0.000, 0.908, 0.158)
Hg (0.092, 0.842, 0.000)
Hg (0.158, 0.000, 0.092)
Hg (0.664, 0.500, 0.185)
Hg (0.836, 0.685, 0.000)
Hg (0.829, 0.404, 0.827)
Hg (0.092, 0.158, 0.000)
Hg (0.408, 0.500, 0.342)
Hg (0.842, 0.000, 0.092)
Hg (0.336, 0.500, 0.815)
Hg (0.500, 0.815, 0.336)
Hg (0.815, 0.336, 0.500)
Hg (0.673, 0.904, 0.329)
Hg (0.827, 0.829, 0.404)
Hg (0.908, 0.158, 0.000)
Hg (0.329, 0.327, 0.096)
Hg (0.827, 0.171, 0.596)
Hg (0.685, 0.000, 0.836)
Hg (0.096, 0.329, 0.327)
Hg (0.827, 0.171, 0.404)
Hg (0.500, 0.185, 0.664)
Hg (0.500, 0.658, 0.592)
Hg (0.327, 0.904, 0.329)
Hg (0.329, 0.673, 0.096)
Hg (0.836, 0.315, 0.000)
Hg (0.592, 0.500, 0.658)
Hg (0.164, 0.685, 0.000)
Hg (0.171, 0.404, 0.827)
Hg (0.829, 0.404, 0.173)
Hg (0.342, 0.592, 0.500)
Hg (0.173, 0.171, 0.596)
Hg (0.500, 0.658, 0.408)
Hg (0.173, 0.829, 0.404)
Hg (0.500, 0.185, 0.336)
Hg (0.404, 0.173, 0.171)
Hg (0.000, 0.836, 0.315)
Hg (0.000, 0.164, 0.315)
Hg (0.336, 0.500, 0.185)
Hg (0.164, 0.315, 0.000)
Hg (0.327, 0.096, 0.329)
Hg (0.173, 0.171, 0.404)
Hg (0.673, 0.096, 0.329)
Hg (0.315, 0.000, 0.836)
Hg (0.908, 0.842, 0.000)
Hg (0.000, 0.836, 0.685)
Hg (0.171, 0.404, 0.173)
Hg (0.842, 0.000, 0.908)
Hg (0.158, 0.000, 0.908)

## Properties
* total magnetization: 0.000 μB/atom
* ΔE_f: -0.2537 eV/atom

=====

Entry 7:
# Ba3Cl2O2

A relaxed Ba3Cl2O2 crystal (PBE-GGA, Materials Project).

Cell lengths 8.135, 7.592, 7.626 Å; angles 63.97, 90.00, 90.00 degrees
Atoms (fractional coordinates):
Ba (0.500, 0.000, 0.500)
Ba (0.000, 0.000, 0.000)
Ba (0.888, 0.602, 0.759)
Ba (0.388, 0.398, 0.741)
Ba (0.612, 0.602, 0.259)
Ba (0.112, 0.398, 0.241)
Cl (0.338, 0.819, 0.926)
Cl (0.162, 0.819, 0.426)
Cl (0.838, 0.181, 0.574)
Cl (0.662, 0.181, 0.074)
O (0.613, 0.661, 0.563)
O (0.113, 0.339, 0.937)
O (0.887, 0.661, 0.063)
O (0.387, 0.339, 0.437)

## Properties
* total magnetization: 0.000 μB/atom
* ΔE_f: -2.7137 eV/atom

=====

Entry 8:
# InCuNi

A relaxed InCuNi crystal (PBE-GGA, Materials Project).

Cell lengths 4.342, 4.342, 5.345 Å; angles 90.00, 90.00, 119.99 degrees
Atoms (fractional coordinates):
In (0.667, 0.333, 0.750)
In (0.333, 0.667, 0.250)
Cu (0.667, 0.333, 0.250)
Cu (0.333, 0.667, 0.750)
Ni (0.000, 0.000, 0.500)
Ni (0.000, 0.000, 0.000)

## Properties
* total magnetization: 0.000 μB/atom
* ΔE_f: 0.0394 eV/atom